No. 1
First-principles (GGA+U) data for crystalline VOF3 at its relaxed geometry, as listed in the Materials Project.

Calculated values
Energy: -117.23 eV/cell
Total moment: 0.00 μB/f.u.
ρ: 3.08 g/cm³
SG: No. 14

Lattice parameters (Å, degrees): 4.6021 4.8274 12.8404 90.00 110.33 90.00
With the nearest neighbours (Å) after each atom.
Fractional positions:
V1 0.2079 0.1999 0.1812  1 O 1.65, 2 F 1.76-1.77
V2 0.2079 0.3001 0.6812  1 O 1.65, 2 F 1.76-1.77
V3 0.7921 0.6999 0.3188  1 O 1.65, 2 F 1.76-1.77
V4 0.7921 0.8001 0.8188  1 O 1.65, 2 F 1.76-1.77
O1 0.4622 0.5512 0.6967  1 V 1.65
O2 0.4622 0.9488 0.1967  1 V 1.65
O3 0.5378 0.0512 0.8033  1 V 1.65
O4 0.5378 0.4488 0.3033  1 V 1.65
F1 0.0663 0.0915 0.2949  1 V 1.87
F2 0.0663 0.4085 0.7949  1 V 1.87
F3 0.1340 0.5811 0.4204  1 V 1.76
F4 0.1340 0.9189 0.9204  1 V 1.76
F5 0.2973 0.0716 0.5893  1 V 1.77
F6 0.2973 0.4284 0.0893  1 V 1.77
F7 0.7027 0.5716 0.9107  1 V 1.77
F8 0.7027 0.9284 0.4107  1 V 1.77
F9 0.8660 0.0811 0.0796  1 V 1.76
F10 0.8660 0.4189 0.5796  1 V 1.76
F11 0.9337 0.5915 0.2051  1 V 1.87
F12 0.9337 0.9085 0.7051  1 V 1.87

***

No. 2
First-principles (GGA+U) data for crystalline V6O7F5 at its relaxed geometry, as listed in the Materials Project.

Calculated values
Energy: -130.78 eV/cell
Total moment: 11.00 μB/f.u.
ρ: 4.17 g/cm³
SG: No. 1

Lattice parameters (Å, degrees): 4.6572 5.6206 7.8113 86.32 88.84 89.01
With the nearest neighbours (Å) after each atom.
Fractional positions:
V1 0.0000 0.0000 0.0000  4 O 1.99-2.07, 2 F 2.06-2.07
V2 0.0023 0.6656 0.3302  2 O 1.94-2.02, 4 F 1.99-2.06
V3 0.4915 0.1599 0.3231  4 O 1.98-2.08, 2 F 2.07-2.08
V4 0.4993 0.8446 0.6853  4 O 1.93-2.08, 2 F 2.11-2.14
V5 0.5196 0.4904 0.9719  3 O 1.92-2.00, 3 F 2.04-2.15
V6 0.9719 0.3059 0.6436  4 O 1.88-1.93
O1 0.1833 0.9538 0.2346  3 V 1.94-2.04
O2 0.2894 0.1331 0.5625  3 V 1.88-2.07
O3 0.3030 0.7903 0.9037  3 V 1.93-2.00
O4 0.6850 0.2020 0.0960  3 V 1.98-2.00
O5 0.7148 0.5254 0.7528  3 V 1.92-2.08
O6 0.8039 0.0360 0.7641  3 V 1.90-2.07
O7 0.8039 0.3665 0.4256  3 V 1.90-2.08
F1 0.1934 0.2975 0.8832  3 V 2.04-2.15
F2 0.2078 0.6257 0.5605  3 V 2.05-2.18
F3 0.2936 0.4649 0.2144  3 V 1.99-2.15
F4 0.6898 0.8574 0.4373  3 V 2.00-2.11
F5 0.7954 0.6968 0.0997  3 V 2.06-2.07